An optimized crystal structure of Na3V2P2O10F. Source: the Materials Project database, functional GGA+U.

Total energy after the MP2020 corrections   -7.35 eV per atom
DFT total energy   -243.1 eV per cell
Polymorph energy (0 for the lowest one)   0.004 eV/atom
Total magnetization   0.111 μB per atom
DFT formation energy   -2.66 eV per atom

Cell: 6.480 6.482 10.634 Å, 89.73 89.69 89.93°
Fractional coordinates of all 36 atoms:
Na 0.000 0.000 0.000
Na 0.010 0.547 0.498
Na 0.444 0.983 0.501
Na 0.495 0.496 0.500
Na 0.518 0.007 0.997
Na 0.944 0.481 0.001
V 0.262 0.727 0.801
V 0.263 0.728 0.199
V 0.764 0.227 0.301
V 0.765 0.228 0.698
P 0.256 0.236 0.750
P 0.257 0.235 0.249
P 0.756 0.736 0.250
P 0.757 0.735 0.749
O 0.068 0.235 0.338
O 0.069 0.239 0.660
O 0.251 0.424 0.840
O 0.254 0.425 0.161
O 0.257 0.041 0.837
O 0.260 0.043 0.162
O 0.265 0.723 0.356
O 0.270 0.727 0.643
O 0.449 0.234 0.337
O 0.450 0.237 0.664
O 0.567 0.735 0.838
O 0.569 0.738 0.161
O 0.752 0.923 0.340
O 0.755 0.924 0.660
O 0.756 0.542 0.337
O 0.759 0.543 0.662
O 0.766 0.220 0.856
O 0.771 0.226 0.144
O 0.948 0.735 0.837
O 0.950 0.737 0.163
F 0.251 0.740 0.000
F 0.752 0.241 0.500

An optimized crystal structure of Na3V2P2O10F. Source: the Materials Project database, functional GGA+U.

Total energy after the MP2020 corrections   -7.35 eV per atom
DFT total energy   -486.4 eV per cell
Polymorph energy (0 for the lowest one)   0.000 eV/atom
Total magnetization   0.111 μB per atom
DFT formation energy   -2.67 eV per atom

Cell: 6.480 6.481 21.179 Å, 89.99 89.97 89.87°
Fractional coordinates of all 72 atoms:
Na 0.000 0.000 0.000
Na 0.000 0.000 0.500
Na 0.014 0.524 0.249
Na 0.021 0.521 0.749
Na 0.261 0.018 0.250
Na 0.480 0.980 0.751
Na 0.501 0.500 0.750
Na 0.511 0.524 0.250
Na 0.522 0.021 0.999
Na 0.523 0.021 0.499
Na 0.977 0.479 0.001
Na 0.977 0.479 0.501
V 0.266 0.733 0.099
V 0.266 0.734 0.400
V 0.268 0.733 0.600
V 0.268 0.733 0.899
V 0.765 0.228 0.349
V 0.766 0.229 0.151
V 0.768 0.233 0.649
V 0.768 0.233 0.850
P 0.260 0.241 0.875
P 0.261 0.241 0.375
P 0.262 0.240 0.625
P 0.263 0.240 0.124
P 0.760 0.741 0.625
P 0.761 0.740 0.125
P 0.762 0.740 0.875
P 0.763 0.739 0.375
O 0.072 0.242 0.669
O 0.072 0.244 0.830
O 0.076 0.235 0.170
O 0.076 0.238 0.329
O 0.253 0.430 0.420
O 0.255 0.430 0.080
O 0.257 0.429 0.920
O 0.259 0.429 0.580
O 0.260 0.047 0.918
O 0.261 0.048 0.418
O 0.261 0.725 0.178
O 0.262 0.046 0.581
O 0.263 0.048 0.081
O 0.265 0.727 0.321
O 0.275 0.721 0.679
O 0.280 0.726 0.821
O 0.454 0.239 0.169
O 0.454 0.241 0.332
O 0.455 0.239 0.668
O 0.455 0.241 0.832
O 0.570 0.745 0.081
O 0.571 0.744 0.418
O 0.572 0.742 0.919
O 0.572 0.744 0.580
O 0.757 0.929 0.670
O 0.759 0.929 0.830
O 0.760 0.547 0.668
O 0.762 0.546 0.167
O 0.762 0.546 0.831
O 0.764 0.546 0.332
O 0.766 0.928 0.170
O 0.769 0.928 0.331
O 0.775 0.221 0.929
O 0.776 0.222 0.427
O 0.780 0.226 0.571
O 0.781 0.226 0.072
O 0.953 0.736 0.420
O 0.953 0.738 0.080
O 0.955 0.739 0.918
O 0.955 0.741 0.582
F 0.255 0.747 0.000
F 0.255 0.747 0.500
F 0.754 0.247 0.750
F 0.762 0.253 0.250

An optimized crystal structure of Na3V2P2O8F3. Source: the Materials Project database, functional GGA+U.

Total energy after the MP2020 corrections   -7.18 eV per atom
DFT total energy   -475.5 eV per cell
Total magnetization   0.222 μB per atom
DFT formation energy   -2.83 eV per atom

Cell: 9.167 9.198 10.924 Å, 90.00 90.00 90.00°
Fractional coordinates of all 72 atoms:
Na 0.030 0.222 0.000
Na 0.048 0.693 0.500
Na 0.240 0.983 0.500
Na 0.260 0.483 0.000
Na 0.452 0.193 0.000
Na 0.470 0.722 0.500
Na 0.530 0.278 0.500
Na 0.548 0.807 0.000
Na 0.740 0.517 0.000
Na 0.760 0.017 0.500
Na 0.952 0.307 0.500
Na 0.970 0.778 0.000
V 0.249 0.255 0.315
V 0.249 0.255 0.685
V 0.251 0.755 0.185
V 0.251 0.755 0.815
V 0.749 0.245 0.185
V 0.749 0.245 0.815
V 0.751 0.745 0.315
V 0.751 0.745 0.685
P 0.000 0.000 0.252
P 0.000 0.000 0.748
P 0.000 0.500 0.243
P 0.000 0.500 0.757
P 0.500 0.000 0.257
P 0.500 0.000 0.743
P 0.500 0.500 0.248
P 0.500 0.500 0.752
O 0.092 0.403 0.330
O 0.092 0.403 0.670
O 0.093 0.902 0.167
O 0.093 0.902 0.833
O 0.097 0.095 0.337
O 0.097 0.095 0.663
O 0.097 0.594 0.158
O 0.097 0.594 0.842
O 0.403 0.094 0.342
O 0.403 0.094 0.658
O 0.403 0.595 0.163
O 0.403 0.595 0.837
O 0.407 0.402 0.333
O 0.407 0.402 0.667
O 0.408 0.903 0.170
O 0.408 0.903 0.830
O 0.592 0.097 0.170
O 0.592 0.097 0.830
O 0.593 0.598 0.333
O 0.593 0.598 0.667
O 0.597 0.405 0.163
O 0.597 0.405 0.837
O 0.597 0.906 0.342
O 0.597 0.906 0.658
O 0.903 0.406 0.158
O 0.903 0.406 0.842
O 0.903 0.905 0.337
O 0.903 0.905 0.663
O 0.907 0.098 0.167
O 0.907 0.098 0.833
O 0.908 0.597 0.330
O 0.908 0.597 0.670
F 0.246 0.251 0.500
F 0.249 0.261 0.130
F 0.249 0.261 0.870
F 0.251 0.761 0.370
F 0.251 0.761 0.630
F 0.254 0.751 0.000
F 0.746 0.249 0.000
F 0.749 0.239 0.370
F 0.749 0.239 0.630
F 0.751 0.739 0.130
F 0.751 0.739 0.870
F 0.754 0.749 0.500